Entry 1:
CeCo2As2 | PBE | relaxed

Formation enthalpy at 0 K: -0.735 eV/atom
Energy: -6.63 eV/atom

CIF file:
```
data_CeCo2As2
_cell_length_a 4.037
_cell_length_b 4.037
_cell_length_c 10.180
_cell_angle_alpha 90.00
_cell_angle_beta 90.00
_cell_angle_gamma 90.00
_symmetry_space_group_name_H-M 'I 4/m m m'
_symmetry_Int_Tables_number 139
_symmetry_space_group_name_Hall '-I 4 2'
loop_
_atom_site_label
_atom_site_type_symbol
_atom_site_fract_x
_atom_site_fract_y
_atom_site_fract_z
_atom_site_occupancy
Ce1 Ce 0.000 0.000 0.000 1
Co1 Co 0.000 0.500 0.250 1
As1 As 0.000 0.000 0.366 1
```

***

Entry 2:
CeAsO5F | PBE | relaxed

Formation enthalpy at 0 K: -2.230 eV/atom
Energy: -6.40 eV/atom

CIF file:
```
data_CeAsO5F
_cell_length_a 5.310
_cell_length_b 7.339
_cell_length_c 12.867
_cell_angle_alpha 90.00
_cell_angle_beta 109.05
_cell_angle_gamma 90.00
_symmetry_space_group_name_H-M 'P 1 21/c 1'
_symmetry_Int_Tables_number 14
_symmetry_space_group_name_Hall '-P 2ybc'
loop_
_atom_site_label
_atom_site_type_symbol
_atom_site_fract_x
_atom_site_fract_y
_atom_site_fract_z
_atom_site_occupancy
Ce1 Ce 0.047 0.203 0.309 1
As1 As 0.392 0.138 0.613 1
O1 O 0.179 0.615 0.582 1
O2 O 0.223 0.564 0.111 1
O3 O 0.268 0.602 0.826 1
O4 O 0.291 0.206 0.190 1
O5 O 0.331 0.212 0.481 1
F1 F 0.191 0.001 0.820 1
```

***

Entry 3:
CeAsO4F | PBE | relaxed

Formation enthalpy at 0 K: -2.845 eV/atom
Energy: -7.00 eV/atom

CIF file:
```
data_CeAsO4F
_cell_length_a 8.827
_cell_length_b 7.199
_cell_length_c 6.708
_cell_angle_alpha 90.00
_cell_angle_beta 90.00
_cell_angle_gamma 90.00
_symmetry_space_group_name_H-M 'P n m a'
_symmetry_Int_Tables_number 62
_symmetry_space_group_name_Hall '-P 2ac 2n'
loop_
_atom_site_label
_atom_site_type_symbol
_atom_site_fract_x
_atom_site_fract_y
_atom_site_fract_z
_atom_site_occupancy
Ce1 Ce 0.044 0.250 0.148 1
As1 As 0.104 0.750 0.324 1
O1 O 0.019 0.250 0.481 1
O2 O 0.070 0.567 0.162 1
O3 O 0.212 0.250 0.899 1
F1 F 0.210 0.750 0.799 1
```

***

Entry 4:
CeFe4As12 | PBE | relaxed

Formation enthalpy at 0 K: -0.414 eV/atom
Energy: -6.04 eV/atom

CIF file:
```
data_CeFe4As12
_cell_length_a 8.320
_cell_length_b 8.320
_cell_length_c 8.320
_cell_angle_alpha 90.00
_cell_angle_beta 90.00
_cell_angle_gamma 90.00
_symmetry_space_group_name_H-M 'I m -3'
_symmetry_Int_Tables_number 204
_symmetry_space_group_name_Hall '-I 2 2 3'
loop_
_atom_site_label
_atom_site_type_symbol
_atom_site_fract_x
_atom_site_fract_y
_atom_site_fract_z
_atom_site_occupancy
Ce1 Ce 0.000 0.000 0.000 1
Fe1 Fe 0.250 0.250 0.250 1
As1 As 0.000 0.342 0.156 1
```

***

Entry 5:
Ce6Mg23As | PBE | relaxed

Formation enthalpy at 0 K: -0.116 eV/atom
Energy: -2.69 eV/atom

CIF file:
```
data_Ce6Mg23As
_cell_length_a 14.513
_cell_length_b 14.513
_cell_length_c 14.513
_cell_angle_alpha 90.00
_cell_angle_beta 90.00
_cell_angle_gamma 90.00
_symmetry_space_group_name_H-M 'F m -3 m'
_symmetry_Int_Tables_number 225
_symmetry_space_group_name_Hall '-F 4 2 3'
loop_
_atom_site_label
_atom_site_type_symbol
_atom_site_fract_x
_atom_site_fract_y
_atom_site_fract_z
_atom_site_occupancy
Ce1 Ce 0.000 0.000 0.205 1
Mg1 Mg 0.000 0.000 0.500 1
Mg2 Mg 0.000 0.250 0.250 1
Mg3 Mg 0.120 0.120 0.380 1
Mg4 Mg 0.173 0.173 0.173 1
As1 As 0.000 0.000 0.000 1
```

***

Entry 6:
Na4CeAs4O14 | PBE | relaxed

Formation enthalpy at 0 K: -2.169 eV/atom
Energy: -6.06 eV/atom

CIF file:
```
data_Na4CeAs4O14
_cell_length_a 11.001
_cell_length_b 11.001
_cell_length_c 10.414
_cell_angle_alpha 90.00
_cell_angle_beta 90.00
_cell_angle_gamma 90.00
_symmetry_space_group_name_H-M 'P 4/n c c'
_symmetry_Int_Tables_number 130
loop_
_symmetry_equiv_pos_as_xyz
'x,y,z'
'-x,-y,-z'
'-y+1/2,x,z'
'y+1/2,-x,-z'
'-x+1/2,-y+1/2,z'
'x+1/2,y+1/2,-z'
'y,-x+1/2,z'
'-y,x+1/2,-z'
'x+1/2,-y,-z+1/2'
'-x+1/2,y,z+1/2'
'-y,-x,-z+1/2'
'y,x,z+1/2'
'-x,y+1/2,-z+1/2'
'x,-y+1/2,z+1/2'
'y+1/2,x+1/2,-z+1/2'
'-y+1/2,-x+1/2,z+1/2'
loop_
_atom_site_label
_atom_site_type_symbol
_atom_site_fract_x
_atom_site_fract_y
_atom_site_fract_z
_atom_site_occupancy
Na1 Na 0.101 0.675 0.104 1
Ce1 Ce 0.250 0.250 0.431 1
As1 As 0.024 0.149 0.677 1
O1 O 0.000 0.000 0.250 1
O2 O 0.071 0.238 0.802 1
O3 O 0.112 0.697 0.881 1
O4 O 0.117 0.124 0.057 1
```

***

Entry 7:
Ce6Ni20As13 | PBE | relaxed

Formation enthalpy at 0 K: -0.686 eV/atom
Energy: -6.12 eV/atom

CIF file:
```
data_Ce6Ni20As13
_cell_length_a 13.2088
_cell_length_b 13.2088
_cell_length_c 3.9462
_cell_angle_alpha 90.00
_cell_angle_beta 90.00
_cell_angle_gamma 120.00
_symmetry_space_group_name_H-M 'P -6'
_symmetry_Int_Tables_number 174
_symmetry_space_group_name_Hall 'P -6'
loop_
_atom_site_label
_atom_site_type_symbol
_atom_site_fract_x
_atom_site_fract_y
_atom_site_fract_z
_atom_site_occupancy
Ce1 Ce 0.0524 0.1969 0.0000 1
Ce2 Ce 0.5209 0.3863 0.5000 1
Ni1 Ni 0.0000 0.0000 0.5000 1
Ni2 Ni 0.0138 0.4220 0.0000 1
Ni3 Ni 0.0862 0.7357 0.5000 1
Ni4 Ni 0.1763 0.5956 0.5000 1
Ni5 Ni 0.2245 0.4689 0.0000 1
Ni6 Ni 0.3113 0.2302 0.0000 1
Ni7 Ni 0.3557 0.1008 0.5000 1
Ni8 Ni 0.6667 0.3333 0.0000 1
As1 As 0.0544 0.6185 0.0000 1
As2 As 0.1028 0.3896 0.5000 1
As3 As 0.1999 0.1451 0.5000 1
As4 As 0.3333 0.6667 0.0000 1
As5 As 0.4676 0.1882 0.0000 1
```

***

Entry 8:
Ce2Ni12As7 | PBE | relaxed

Formation enthalpy at 0 K: -0.529 eV/atom
Energy: -5.95 eV/atom

CIF file:
```
data_Ce2Ni12As7
_cell_length_a 9.4023
_cell_length_b 9.4023
_cell_length_c 3.8975
_cell_angle_alpha 90.00
_cell_angle_beta 90.00
_cell_angle_gamma 120.00
_symmetry_space_group_name_H-M 'P -6'
_symmetry_Int_Tables_number 174
_symmetry_space_group_name_Hall 'P -6'
loop_
_atom_site_label
_atom_site_type_symbol
_atom_site_fract_x
_atom_site_fract_y
_atom_site_fract_z
_atom_site_occupancy
Ce1 Ce 0.0000 0.0000 0.0000 1
Ce2 Ce 0.3333 0.6667 0.5000 1
Ni1 Ni 0.0476 0.2889 0.5000 1
Ni2 Ni 0.1006 0.7159 0.0000 1
Ni3 Ni 0.3890 0.1822 0.0000 1
Ni4 Ni 0.5517 0.4296 0.5000 1
As1 As 0.0680 0.4471 0.0000 1
As2 As 0.2655 0.2259 0.5000 1
As3 As 0.6667 0.3333 0.0000 1
```

***

Entry 9:
CeAsO4 | PBE | relaxed

Formation enthalpy at 0 K: -2.737 eV/atom
Energy: -7.34 eV/atom

CIF file:
```
data_CeAsO4
_cell_length_a 6.831
_cell_length_b 7.267
_cell_length_c 8.419
_cell_angle_alpha 90.00
_cell_angle_beta 126.42
_cell_angle_gamma 90.00
_symmetry_space_group_name_H-M 'P 1 21/c 1'
_symmetry_Int_Tables_number 14
_symmetry_space_group_name_Hall '-P 2ybc'
loop_
_atom_site_label
_atom_site_type_symbol
_atom_site_fract_x
_atom_site_fract_y
_atom_site_fract_z
_atom_site_occupancy
Ce1 Ce 0.186 0.152 0.284 1
As1 As 0.309 0.663 0.196 1
O1 O 0.105 0.657 0.607 1
O2 O 0.174 0.004 0.747 1
O3 O 0.346 0.607 0.016 1
O4 O 0.393 0.215 0.117 1
```

***

Entry 10:
CeAs12Os4 | PBE | relaxed

Formation enthalpy at 0 K: -0.363 eV/atom
Energy: -6.64 eV/atom

CIF file:
```
data_CeAs12Os4
_cell_length_a 8.625
_cell_length_b 8.625
_cell_length_c 8.625
_cell_angle_alpha 90.00
_cell_angle_beta 90.00
_cell_angle_gamma 90.00
_symmetry_space_group_name_H-M 'I m -3'
_symmetry_Int_Tables_number 204
_symmetry_space_group_name_Hall '-I 2 2 3'
loop_
_atom_site_label
_atom_site_type_symbol
_atom_site_fract_x
_atom_site_fract_y
_atom_site_fract_z
_atom_site_occupancy
Ce1 Ce 0.000 0.000 0.000 1
As1 As 0.000 0.346 0.149 1
Os1 Os 0.250 0.250 0.250 1
```

***

Entry 11:
CeAsPd | PBE | relaxed

Formation enthalpy at 0 K: -1.129 eV/atom
Energy: -6.39 eV/atom

CIF file:
```
data_CeAsPd
_cell_length_a 4.3644
_cell_length_b 4.3644
_cell_length_c 7.8499
_cell_angle_alpha 90.00
_cell_angle_beta 90.00
_cell_angle_gamma 120.00
_symmetry_space_group_name_H-M 'P 63/m m c'
_symmetry_Int_Tables_number 194
_symmetry_space_group_name_Hall '-P 6c 2c'
loop_
_atom_site_label
_atom_site_type_symbol
_atom_site_fract_x
_atom_site_fract_y
_atom_site_fract_z
_atom_site_occupancy
Ce1 Ce 0.0000 0.0000 0.0000 1
As1 As 0.3333 0.6667 0.2500 1
Pd1 Pd 0.3333 0.6667 0.7500 1
```

***

Entry 12:
CeAs2Pd2 | PBE | relaxed

Formation enthalpy at 0 K: -0.830 eV/atom
Energy: -5.95 eV/atom

CIF file:
```
data_CeAs2Pd2
_cell_length_a 4.227
_cell_length_b 4.227
_cell_length_c 10.804
_cell_angle_alpha 90.00
_cell_angle_beta 90.00
_cell_angle_gamma 90.00
_symmetry_space_group_name_H-M 'I 4/m m m'
_symmetry_Int_Tables_number 139
_symmetry_space_group_name_Hall '-I 4 2'
loop_
_atom_site_label
_atom_site_type_symbol
_atom_site_fract_x
_atom_site_fract_y
_atom_site_fract_z
_atom_site_occupancy
Ce1 Ce 0.000 0.000 0.000 1
As1 As 0.000 0.000 0.383 1
Pd1 Pd 0.000 0.500 0.250 1
```

***

Entry 13:
CeAsPd | PBE | relaxed

Formation enthalpy at 0 K: -0.683 eV/atom
Energy: -5.94 eV/atom

CIF file:
```
data_CeAsPd
_cell_length_a 7.592
_cell_length_b 4.678
_cell_length_c 7.454
_cell_angle_alpha 90.00
_cell_angle_beta 90.68
_cell_angle_gamma 90.00
_symmetry_space_group_name_H-M 'C 1 2/m 1'
_symmetry_Int_Tables_number 12
_symmetry_space_group_name_Hall '-C 2y'
loop_
_atom_site_label
_atom_site_type_symbol
_atom_site_fract_x
_atom_site_fract_y
_atom_site_fract_z
_atom_site_occupancy
Ce1 Ce 0.003 0.000 0.253 1
As1 As 0.173 0.500 0.002 1
Pd1 Pd 0.173 0.500 0.465 1
```

***

Entry 14:
CeAsRh | PBE | relaxed

Formation enthalpy at 0 K: -1.140 eV/atom
Energy: -7.13 eV/atom

CIF file:
```
data_CeAsRh
_cell_length_a 4.3100
_cell_length_b 4.3100
_cell_length_c 7.5939
_cell_angle_alpha 90.00
_cell_angle_beta 90.00
_cell_angle_gamma 120.00
_symmetry_space_group_name_H-M 'P 63/m m c'
_symmetry_Int_Tables_number 194
_symmetry_space_group_name_Hall '-P 6c 2c'
loop_
_atom_site_label
_atom_site_type_symbol
_atom_site_fract_x
_atom_site_fract_y
_atom_site_fract_z
_atom_site_occupancy
Ce1 Ce 0.0000 0.0000 0.0000 1
As1 As 0.3333 0.6667 0.2500 1
Rh1 Rh 0.3333 0.6667 0.7500 1
```